# GGA-PBE SnCNCl3, relaxed
# * ΔH_f (0 K): -0.305 eV per atom
# * total magnetic moment: 0.00 μB/cell
data_SnCNCl3
_chemical_formula_sum 'Sn2 C2 N2 Cl6'
_cell_length_a 6.426
_cell_length_b 7.190
_cell_length_c 7.312
_cell_angle_alpha 90.05
_cell_angle_beta 90.66
_cell_angle_gamma 92.46
_symmetry_space_group_name_H-M 'P 1'
_symmetry_Int_Tables_number 1
loop_
_symmetry_equiv_pos_as_xyz
'x,y,z'
loop_
_atom_site_label
_atom_site_type_symbol
_atom_site_fract_x
_atom_site_fract_y
_atom_site_fract_z
Sn1 Sn 0.000 0.000 0.000
Sn2 Sn 0.113 0.509 0.500
C1 C 0.475 0.400 0.016
C2 C 0.581 0.974 0.563
N1 N 0.416 0.033 0.532
N2 N 0.478 0.562 0.013
Cl1 Cl 0.010 0.742 0.746
Cl2 Cl 0.017 0.789 0.289
Cl3 Cl 0.474 0.174 0.019
Cl4 Cl 0.478 0.506 0.492
Cl5 Cl 0.970 0.310 0.242
Cl6 Cl 0.976 0.265 0.712